No. 1
A plane-wave DFT calculation with PBE was carried out for crystalline Sc3Bi at its relaxed geometry.

Cell lengths 6.5283, 6.5283, 5.1736 Å; angles 90.00, 90.00, 120.00 degrees
Fractional coordinates of all 8 atoms:
Sc 0.1649 0.8351 0.2500
Sc 0.6702 0.8351 0.2500
Sc 0.1649 0.3298 0.2500
Sc 0.8351 0.1649 0.7500
Bi 0.3333 0.6667 0.7500
Sc 0.3298 0.1649 0.7500
Bi 0.6667 0.3333 0.2500
Sc 0.8351 0.6702 0.7500

Values from the calculation:
- Spin magnetization: 0.017 μB per atom
- Calculated formation energy: -31.4 kJ per mole of atoms

No. 2
A plane-wave DFT calculation with PBE was carried out for crystalline KCa4Si8H16O29 at its relaxed geometry.

Cell lengths 9.0581, 9.0581, 16.0719 Å; angles 90.00, 90.00, 90.00 degrees
Fractional coordinates of all 116 atoms:
Si 0.4146 0.2738 0.3094
Si 0.7738 0.9146 0.1906
O 0.4497 0.7971 0.0892
H 0.9479 0.3404 0.4090
H 0.8404 0.4479 0.9090
H 0.2801 0.9242 0.6473
O 0.5503 0.2029 0.9108
O 0.7642 0.4000 0.5932
H 0.1596 0.5521 0.0910
O 0.1897 0.9147 0.2193
O 0.0853 0.1897 0.7807
H 0.4242 0.7801 0.1473
O 0.9000 0.2642 0.0932
O 0.6000 0.7642 0.4068
O 0.2642 0.1000 0.9068
O 0.1358 0.6358 0.7500
H 0.6596 0.9479 0.4090
O 0.9000 0.2642 0.9068
O 0.6358 0.8642 0.2500
O 0.2642 0.1000 0.0932
O 0.2029 0.4497 0.0892
O 0.6897 0.5853 0.2807
H 0.4479 0.1596 0.9090
O 0.3103 0.4147 0.2807
H 0.0758 0.2801 0.3527
Ca 0.2450 0.8894 0.0000
O 0.3103 0.4147 0.7193
H 0.5521 0.8404 0.9090
Ca 0.2550 0.3894 0.5000
H 0.1596 0.5521 0.9090
O 0.3642 0.1358 0.2500
O 0.7029 0.0503 0.4108
Ca 0.8894 0.7550 0.0000
H 0.3404 0.0521 0.5910
Ca 0.7450 0.6106 0.5000
O 0.5503 0.2029 0.0892
H 0.5758 0.2199 0.1473
O 0.5000 0.5000 0.5000
O 0.5853 0.3103 0.7193
H 0.5758 0.2199 0.8527
O 0.7029 0.0503 0.5892
O 0.7358 0.9000 0.0932
H 0.2199 0.4242 0.8527
Si 0.5854 0.7262 0.6906
O 0.1000 0.7358 0.0932
O 0.2971 0.9497 0.4108
O 0.9147 0.8103 0.7807
Si 0.7738 0.9146 0.8094
O 0.4147 0.6897 0.2807
O 0.7358 0.9000 0.9068
H 0.6596 0.9479 0.5910
O 0.2358 0.6000 0.4068
O 0.0503 0.2971 0.4108
H 0.0521 0.6596 0.4090
Ca 0.1106 0.2450 0.0000
K 0.5000 0.5000 0.0000
K 0.0000 0.0000 0.5000
O 0.7971 0.5503 0.0892
H 0.2199 0.4242 0.1473
Si 0.2738 0.5854 0.6906
O 0.7971 0.5503 0.9108
O 0.4000 0.2358 0.5932
O 0.2971 0.9497 0.5892
H 0.0758 0.2801 0.6473
Si 0.9146 0.2262 0.1906
H 0.7801 0.5758 0.8527
H 0.2801 0.9242 0.3527
H 0.4242 0.7801 0.8527
H 0.9242 0.7199 0.3527
H 0.4479 0.1596 0.0910
H 0.9479 0.3404 0.5910
O 0.6358 0.8642 0.7500
Ca 0.3894 0.7450 0.5000
Si 0.0854 0.7738 0.8094
O 0.6897 0.5853 0.7193
Si 0.2262 0.0854 0.1906
O 0.2029 0.4497 0.9108
H 0.3404 0.0521 0.4090
O 0.8103 0.0853 0.2193
O 0.5853 0.3103 0.2807
Si 0.9146 0.2262 0.8094
Si 0.4146 0.2738 0.6906
Ca 0.6106 0.2550 0.5000
Si 0.0854 0.7738 0.1906
O 0.9147 0.8103 0.2193
O 0.9497 0.7029 0.4108
O 0.7642 0.4000 0.4068
Si 0.7262 0.4146 0.3094
O 0.8642 0.3642 0.7500
H 0.5521 0.8404 0.0910
O 0.0503 0.2971 0.5892
H 0.7801 0.5758 0.1473
H 0.0521 0.6596 0.5910
O 0.1000 0.7358 0.9068
O 0.3642 0.1358 0.7500
Si 0.5854 0.7262 0.3094
O 0.8642 0.3642 0.2500
O 0.4000 0.2358 0.4068
Si 0.2262 0.0854 0.8094
O 0.9497 0.7029 0.5892
H 0.8404 0.4479 0.0910
Si 0.7262 0.4146 0.6906
Ca 0.7550 0.1106 0.0000
H 0.7199 0.0758 0.6473
O 0.0853 0.1897 0.2193
O 0.0000 0.0000 0.0000
O 0.1358 0.6358 0.2500
O 0.4147 0.6897 0.7193
O 0.4497 0.7971 0.9108
O 0.8103 0.0853 0.7807
O 0.6000 0.7642 0.5932
O 0.2358 0.6000 0.5932
H 0.7199 0.0758 0.3527
O 0.1897 0.9147 0.7807
Si 0.2738 0.5854 0.3094
H 0.9242 0.7199 0.6473

Values from the calculation:
- Spin magnetization: 0.020 μB per atom
- Calculated formation energy: -234.6 kJ per mole of atoms